1.
Na6Fe2B4SO16 after structural relaxation, computed with GGA+U.

Computed properties:
Calculated formation energy in eV per formula unit: -65.084
Total energy after the MP2020 corrections in eV per atom: -6.896
Volume in Å³/cell: 708.5
Uncorrected energy in eV per atom: -6.36

Unit cell a=10.0067 b=10.0067 c=10.0067 alpha=60.00 beta=60.00 gamma=60.00
Fractional positions:
Na  0.0930  0.0930  0.6570
Na  0.0930  0.6570  0.0930
Na  0.0930  0.6570  0.6570
Na  0.3430  0.3430  0.9070
Na  0.3430  0.9070  0.3430
Na  0.3430  0.9070  0.9070
Na  0.6570  0.0930  0.0930
Na  0.6570  0.0930  0.6570
Na  0.6570  0.6570  0.0930
Na  0.9070  0.3430  0.3430
Na  0.9070  0.3430  0.9070
Na  0.9070  0.9070  0.3430
Fe  0.0000  0.5000  0.5000
Fe  0.5000  0.0000  0.5000
Fe  0.5000  0.5000  0.0000
Fe  0.5000  0.5000  0.5000
B  0.2874  0.2874  0.2874
B  0.2874  0.2874  0.6379
B  0.2874  0.6379  0.2874
B  0.3621  0.7126  0.7126
B  0.6379  0.2874  0.2874
B  0.7126  0.3621  0.7126
B  0.7126  0.7126  0.3621
B  0.7126  0.7126  0.7126
S  0.1250  0.1250  0.1250
S  0.8750  0.8750  0.8750
O  0.0639  0.0639  0.0639
O  0.0639  0.0639  0.3082
O  0.0639  0.3082  0.0639
O  0.1359  0.3153  0.4063
O  0.1359  0.4063  0.6425
O  0.1359  0.6425  0.3153
O  0.3082  0.0639  0.0639
O  0.3153  0.1359  0.6425
O  0.3153  0.4063  0.1359
O  0.3153  0.6425  0.4063
O  0.3575  0.5937  0.6847
O  0.3575  0.6847  0.8641
O  0.3575  0.8641  0.5937
O  0.4063  0.1359  0.3153
O  0.4063  0.3153  0.6425
O  0.4063  0.6425  0.1359
O  0.5937  0.3575  0.8641
O  0.5937  0.6847  0.3575
O  0.5937  0.8641  0.6847
O  0.6425  0.1359  0.4063
O  0.6425  0.3153  0.1359
O  0.6425  0.4063  0.3153
O  0.6847  0.3575  0.5937
O  0.6847  0.5937  0.8641
O  0.6847  0.8641  0.3575
O  0.6918  0.9361  0.9361
O  0.8641  0.3575  0.6847
O  0.8641  0.5937  0.3575
O  0.8641  0.6847  0.5937
O  0.9361  0.6918  0.9361
O  0.9361  0.9361  0.6918
O  0.9361  0.9361  0.9361

=====

2.
FeNi2BO5 after structural relaxation, computed with GGA+U.

Computed properties:
Calculated formation energy in eV per formula unit: -16.515
Total energy after the MP2020 corrections in eV per atom: -7.552
Volume in Å³/cell: 349.9
Uncorrected energy in eV per atom: -6.35

Unit cell a=9.3256 b=12.3570 c=3.0366 alpha=90.00 beta=90.00 gamma=90.00
Fractional positions:
Fe  0.2397  0.1146  0.0000
Fe  0.2603  0.6146  0.0000
Fe  0.7397  0.3854  0.0000
Fe  0.7603  0.8854  0.0000
Ni  0.0000  0.0000  0.5000
Ni  0.0000  0.5000  0.0000
Ni  0.0007  0.2821  0.5000
Ni  0.4993  0.7821  0.5000
Ni  0.5000  0.0000  0.0000
Ni  0.5000  0.5000  0.5000
Ni  0.5007  0.2179  0.5000
Ni  0.9993  0.7179  0.5000
B  0.2267  0.8603  0.0000
B  0.2733  0.3603  0.0000
B  0.7267  0.6397  0.0000
B  0.7733  0.1397  0.0000
O  0.1074  0.1433  0.5000
O  0.1164  0.5776  0.5000
O  0.1250  0.3589  0.0000
O  0.1508  0.9576  0.0000
O  0.1516  0.7628  0.0000
O  0.3484  0.2628  0.0000
O  0.3492  0.4576  0.0000
O  0.3750  0.8589  0.0000
O  0.3836  0.0776  0.5000
O  0.3926  0.6433  0.5000
O  0.6074  0.3567  0.5000
O  0.6164  0.9224  0.5000
O  0.6250  0.1411  0.0000
O  0.6508  0.5424  0.0000
O  0.6516  0.7372  0.0000
O  0.8484  0.2372  0.0000
O  0.8492  0.0424  0.0000
O  0.8750  0.6411  0.0000
O  0.8836  0.4224  0.5000
O  0.8926  0.8567  0.5000

=====

3.
FeB6O6 after structural relaxation, computed with GGA+U.

Computed properties:
Excess energy over the best structure of this formula in the dataset in meV/atom: 264
Calculated formation energy in eV per formula unit: -18.133
Total energy after the MP2020 corrections in eV per atom: -7.413
Volume in Å³/cell: 102.0
Uncorrected energy in eV per atom: -6.92

Unit cell a=5.7002 b=5.7002 c=3.9037 alpha=105.43 beta=105.43 gamma=113.27
Fractional positions:
Fe  0.0000  0.0000  0.0000
B  0.0771  0.5821  0.8573
B  0.3732  0.3732  0.7182
B  0.4179  0.9229  0.1427
B  0.5821  0.0771  0.8573
B  0.6268  0.6268  0.2818
B  0.9229  0.4179  0.1427
O  0.1253  0.3968  0.5294
O  0.3565  0.3565  0.0776
O  0.3968  0.1253  0.5294
O  0.6032  0.8747  0.4706
O  0.6435  0.6435  0.9224
O  0.8747  0.6032  0.4706

=====

4.
Fe2BO4 after structural relaxation, computed with GGA+U.

Computed properties:
Excess energy over the best structure of this formula in the dataset in meV/atom: 48
Calculated formation energy in eV per formula unit: -14.063
Total energy after the MP2020 corrections in eV per atom: -8.211
Volume in Å³/cell: 551.8
Uncorrected energy in eV per atom: -7.17

Unit cell a=6.2125 b=9.5572 c=9.2930 alpha=90.00 beta=90.00 gamma=90.00
Fractional positions:
Fe  0.0000  0.0565  0.0000
Fe  0.0000  0.3205  0.4965
Fe  0.0000  0.6795  0.9965
Fe  0.0000  0.9435  0.5000
Fe  0.2530  0.1882  0.7157
Fe  0.2530  0.8118  0.2157
Fe  0.2553  0.4438  0.2148
Fe  0.2553  0.5562  0.7148
Fe  0.5000  0.0622  0.9995
Fe  0.5000  0.3099  0.4887
Fe  0.5000  0.6901  0.9887
Fe  0.5000  0.9378  0.4995
Fe  0.7447  0.4438  0.2148
Fe  0.7447  0.5562  0.7148
Fe  0.7470  0.1882  0.7157
Fe  0.7470  0.8118  0.2157
B  0.0000  0.3733  0.9419
B  0.0000  0.6267  0.4419
B  0.2557  0.1264  0.2740
B  0.2557  0.8736  0.7740
B  0.5000  0.3754  0.9452
B  0.5000  0.6246  0.4452
B  0.7443  0.1264  0.2740
B  0.7443  0.8736  0.7740
O  0.0000  0.1301  0.5940
O  0.0000  0.2436  0.8735
O  0.0000  0.3833  0.0892
O  0.0000  0.4961  0.8597
O  0.0000  0.5039  0.3597
O  0.0000  0.6167  0.5892
O  0.0000  0.7564  0.3735
O  0.0000  0.8699  0.0940
O  0.2499  0.1228  0.1265
O  0.2499  0.8772  0.6265
O  0.2529  0.0006  0.3495
O  0.2529  0.9994  0.8495
O  0.2630  0.2559  0.3447
O  0.2630  0.7441  0.8447
O  0.2723  0.3757  0.6090
O  0.2723  0.6243  0.1090
O  0.5000  0.1326  0.5821
O  0.5000  0.2496  0.8687
O  0.5000  0.3713  0.0915
O  0.5000  0.4947  0.3740
O  0.5000  0.5053  0.8740
O  0.5000  0.6287  0.5915
O  0.5000  0.7504  0.3687
O  0.5000  0.8674  0.0821
O  0.7277  0.3757  0.6090
O  0.7277  0.6243  0.1090
O  0.7370  0.2559  0.3447
O  0.7370  0.7441  0.8447
O  0.7471  0.0006  0.3495
O  0.7471  0.9994  0.8495
O  0.7501  0.1228  0.1265
O  0.7501  0.8772  0.6265

=====

5.
Fe3BO6 after structural relaxation, computed with GGA+U.

Computed properties:
Calculated formation energy in eV per formula unit: -19.874
Total energy after the MP2020 corrections in eV per atom: -8.165
Volume in Å³/cell: 400.7
Uncorrected energy in eV per atom: -7.08

Unit cell a=10.2230 b=8.6860 c=4.5122 alpha=90.00 beta=90.00 gamma=90.00
Fractional positions:
Fe  0.0905  0.2500  0.0212
Fe  0.1287  0.5662  0.5193
Fe  0.1287  0.9338  0.5193
Fe  0.3713  0.0662  0.0193
Fe  0.3713  0.4338  0.0193
Fe  0.4095  0.7500  0.5212
Fe  0.5905  0.2500  0.4788
Fe  0.6287  0.5662  0.9807
Fe  0.6287  0.9338  0.9807
Fe  0.8713  0.0662  0.4807
Fe  0.8713  0.4338  0.4807
Fe  0.9095  0.7500  0.9788
B  0.2169  0.7500  0.0899
B  0.2831  0.2500  0.5899
B  0.7169  0.7500  0.4101
B  0.7831  0.2500  0.9101
O  0.0351  0.0813  0.2662
O  0.0351  0.4187  0.2662
O  0.0823  0.7500  0.2241
O  0.2152  0.1133  0.7345
O  0.2152  0.3867  0.7345
O  0.2185  0.7500  0.7676
O  0.2815  0.2500  0.2676
O  0.2848  0.6133  0.2345
O  0.2848  0.8867  0.2345
O  0.4177  0.2500  0.7241
O  0.4649  0.5813  0.7662
O  0.4649  0.9187  0.7662
O  0.5351  0.0813  0.2338
O  0.5351  0.4187  0.2338
O  0.5823  0.7500  0.2759
O  0.7152  0.1133  0.7655
O  0.7152  0.3867  0.7655
O  0.7185  0.7500  0.7324
O  0.7815  0.2500  0.2324
O  0.7848  0.6133  0.2655
O  0.7848  0.8867  0.2655
O  0.9177  0.2500  0.7759
O  0.9649  0.5813  0.7338
O  0.9649  0.9187  0.7338

=====

6.
Fe2BO4 after structural relaxation, computed with GGA+U.

Computed properties:
Excess energy over the best structure of this formula in the dataset in meV/atom: 0
Calculated formation energy in eV per formula unit: -14.400
Total energy after the MP2020 corrections in eV per atom: -8.259
Volume in Å³/cell: 288.4
Uncorrected energy in eV per atom: -7.22

Unit cell a=9.4852 b=3.1745 c=9.5773 alpha=90.00 beta=90.00 gamma=90.00
Fractional positions:
Fe  0.1016  0.2500  0.1854
Fe  0.1184  0.2500  0.5665
Fe  0.3816  0.7500  0.0665
Fe  0.3984  0.7500  0.6854
Fe  0.6016  0.2500  0.3146
Fe  0.6184  0.2500  0.9335
Fe  0.8816  0.7500  0.4335
Fe  0.8984  0.7500  0.8146
B  0.1681  0.2500  0.8704
B  0.3319  0.7500  0.3704
B  0.6681  0.2500  0.6296
B  0.8319  0.7500  0.1296
O  0.0056  0.2500  0.3868
O  0.0257  0.2500  0.8723
O  0.2420  0.2500  0.7437
O  0.2441  0.2500  0.9976
O  0.2559  0.7500  0.4976
O  0.2580  0.7500  0.2437
O  0.4743  0.7500  0.3723
O  0.4944  0.7500  0.8868
O  0.5056  0.2500  0.1132
O  0.5257  0.2500  0.6277
O  0.7420  0.2500  0.7563
O  0.7441  0.2500  0.5024
O  0.7559  0.7500  0.0024
O  0.7580  0.7500  0.2563
O  0.9743  0.7500  0.1277
O  0.9944  0.7500  0.6132

=====

7.
Fe3BO5 after structural relaxation, computed with GGA+U.

Computed properties:
Excess energy over the best structure of this formula in the dataset in meV/atom: 0
Calculated formation energy in eV per formula unit: -17.694
Total energy after the MP2020 corrections in eV per atom: -8.280
Volume in Å³/cell: 373.9
Uncorrected energy in eV per atom: -7.15

Unit cell a=9.6393 b=12.4953 c=3.1041 alpha=90.00 beta=90.00 gamma=90.00
Fractional positions:
Fe  0.0000  0.0000  0.0000
Fe  0.0000  0.5000  0.5000
Fe  0.0013  0.2246  0.5000
Fe  0.2442  0.6137  0.0000
Fe  0.2558  0.1137  0.0000
Fe  0.4987  0.7246  0.5000
Fe  0.5000  0.0000  0.5000
Fe  0.5000  0.5000  0.0000
Fe  0.5013  0.2754  0.5000
Fe  0.7442  0.8863  0.0000
Fe  0.7558  0.3863  0.0000
Fe  0.9987  0.7754  0.5000
B  0.2338  0.3620  0.0000
B  0.2662  0.8620  0.0000
B  0.7338  0.1380  0.0000
B  0.7662  0.6380  0.0000
O  0.1123  0.6406  0.5000
O  0.1181  0.0827  0.5000
O  0.1229  0.8612  0.0000
O  0.1594  0.4580  0.0000
O  0.1615  0.2655  0.0000
O  0.3385  0.7655  0.0000
O  0.3406  0.9580  0.0000
O  0.3771  0.3612  0.0000
O  0.3819  0.5827  0.5000
O  0.3877  0.1406  0.5000
O  0.6123  0.8594  0.5000
O  0.6181  0.4173  0.5000
O  0.6229  0.6388  0.0000
O  0.6594  0.0420  0.0000
O  0.6615  0.2345  0.0000
O  0.8385  0.7345  0.0000
O  0.8406  0.5420  0.0000
O  0.8771  0.1388  0.0000
O  0.8819  0.9173  0.5000
O  0.8877  0.3594  0.5000

=====

8.
Fe3BO5 after structural relaxation, computed with GGA+U.

Computed properties:
Excess energy over the best structure of this formula in the dataset in meV/atom: 29
Calculated formation energy in eV per formula unit: -17.434
Total energy after the MP2020 corrections in eV per atom: -8.251
Volume in Å³/cell: 726.1
Uncorrected energy in eV per atom: -7.12

Unit cell a=12.5696 b=6.1086 c=9.4564 alpha=90.00 beta=90.00 gamma=90.00
Fractional positions:
Fe  0.0000  0.0000  0.0000
Fe  0.0000  0.5000  0.0000
Fe  0.0022  0.2500  0.4967
Fe  0.1112  0.2500  0.2440
Fe  0.1117  0.7500  0.2401
Fe  0.2219  0.5122  0.5000
Fe  0.2219  0.9878  0.5000
Fe  0.2781  0.0122  0.0000
Fe  0.2781  0.4878  0.0000
Fe  0.3883  0.2500  0.7401
Fe  0.3888  0.7500  0.7440
Fe  0.4978  0.7500  0.9967
Fe  0.5000  0.0000  0.5000
Fe  0.5000  0.5000  0.5000
Fe  0.5022  0.2500  0.0033
Fe  0.6112  0.2500  0.2560
Fe  0.6117  0.7500  0.2599
Fe  0.7219  0.5122  0.0000
Fe  0.7219  0.9878  0.0000
Fe  0.7781  0.0122  0.5000
Fe  0.7781  0.4878  0.5000
Fe  0.8883  0.2500  0.7599
Fe  0.8888  0.7500  0.7560
Fe  0.9978  0.7500  0.5033
B  0.1396  0.2500  0.7707
B  0.1415  0.7500  0.7773
B  0.3585  0.2500  0.2773
B  0.3604  0.7500  0.2707
B  0.6396  0.2500  0.7293
B  0.6415  0.7500  0.7227
B  0.8585  0.2500  0.2227
B  0.8604  0.7500  0.2293
O  0.0449  0.2500  0.8465
O  0.0455  0.7500  0.8502
O  0.0777  0.5043  0.3902
O  0.0777  0.9957  0.3902
O  0.1414  0.2500  0.6245
O  0.1409  0.7500  0.6304
O  0.1428  0.0016  0.1032
O  0.1428  0.4984  0.1032
O  0.2354  0.2500  0.8438
O  0.2371  0.7500  0.8499
O  0.2629  0.2500  0.3499
O  0.2646  0.7500  0.3438
O  0.3572  0.5016  0.6032
O  0.3572  0.9984  0.6032
O  0.3591  0.2500  0.1304
O  0.3586  0.7500  0.1245
O  0.4223  0.0043  0.8902
O  0.4223  0.4957  0.8902
O  0.4545  0.2500  0.3502
O  0.4551  0.7500  0.3465
O  0.5449  0.2500  0.6535
O  0.5455  0.7500  0.6498
O  0.5777  0.5043  0.1098
O  0.5777  0.9957  0.1098
O  0.6414  0.2500  0.8755
O  0.6409  0.7500  0.8696
O  0.6428  0.0016  0.3968
O  0.6428  0.4984  0.3968
O  0.7354  0.2500  0.6562
O  0.7371  0.7500  0.6501
O  0.7629  0.2500  0.1501
O  0.7646  0.7500  0.1562
O  0.8572  0.5016  0.8968
O  0.8572  0.9984  0.8968
O  0.8591  0.2500  0.3696
O  0.8586  0.7500  0.3755
O  0.9223  0.0043  0.6098
O  0.9223  0.4957  0.6098
O  0.9545  0.2500  0.1498
O  0.9551  0.7500  0.1535

=====

- Number 6 is which compound?
  Fe2BO4